No. 1
{
  "formula": "TaFe4W",
  "functional": "r2SCAN",
  "state": "optimized geometry",
  "energy_ev_per_atom": -26.20,
  "delta_e_f_ev_per_atom": 0.073,
  "vol_a3_per_atom": 13.0,
  "lattice_angstrom": [[-2.385, -4.131, 0.000], [-2.385, 4.131, 0.000], [0.000, 0.000, -7.898]],
  "species": ["Ta", "Ta", "Fe", "Fe", "Fe", "Fe", "Fe", "Fe", "Fe", "Fe", "W", "W"],
  "fractional_positions": [[0.667, 0.333, 0.577], [0.333, 0.667, 0.423], [0.000, 0.000, 0.500], [0.000, 0.000, 0.000], [0.169, 0.339, 0.748], [0.169, 0.831, 0.748], [0.661, 0.831, 0.748], [0.831, 0.661, 0.252], [0.831, 0.169, 0.252], [0.339, 0.169, 0.252], [0.333, 0.667, 0.047], [0.667, 0.333, 0.953]]
}



No. 2
{
  "formula": "NdCo2Ge2",
  "functional": "r2SCAN",
  "state": "optimized geometry",
  "energy_ev_per_atom": -17.27,
  "delta_e_f_ev_per_atom": -0.542,
  "vol_a3_per_atom": 16.3,
  "lattice_angstrom": [[3.741, 0.000, -1.382], [-0.510, 3.706, -1.382], [0.036, 0.041, 5.852]],
  "species": ["Nd", "Co", "Co", "Ge", "Ge"],
  "fractional_positions": [[0.000, 0.000, 0.000], [0.750, 0.250, 0.500], [0.250, 0.750, 0.500], [0.633, 0.633, 0.266], [0.367, 0.367, 0.734]]
}



No. 3
{
  "formula": "EuGa3Ni2",
  "functional": "r2SCAN",
  "state": "optimized geometry",
  "energy_ev_per_atom": -16.69,
  "delta_e_f_ev_per_atom": -0.555,
  "vol_a3_per_atom": 16.5,
  "lattice_angstrom": [[1.491, 4.575, -4.115], [-5.299, 2.053, 2.791], [2.782, 2.314, 3.580]],
  "species": ["Eu", "Eu", "Ga", "Ga", "Ga", "Ga", "Ga", "Ga", "Ni", "Ni", "Ni", "Ni"],
  "fractional_positions": [[0.655, 0.655, 0.250], [0.345, 0.345, 0.750], [0.061, 0.061, 0.250], [0.939, 0.939, 0.750], [0.085, 0.472, 0.250], [0.528, 0.915, 0.750], [0.915, 0.528, 0.750], [0.472, 0.085, 0.250], [0.204, 0.796, 0.500], [0.204, 0.796, 0.000], [0.796, 0.204, 0.500], [0.796, 0.204, 0.000]]
}



No. 4
{
  "formula": "Cs3Sb2I9",
  "functional": "r2SCAN",
  "state": "optimized geometry",
  "energy_ev_per_atom": -25.87,
  "delta_e_f_ev_per_atom": -1.032,
  "vol_a3_per_atom": 47.3,
  "e_above_lowest_polymorph_mev_per_atom": 3,
  "lattice_angstrom": [[8.517, 0.000, 0.000], [-4.259, 7.376, 0.000], [0.000, 0.000, 10.530]],
  "species": ["Cs", "Cs", "Cs", "Sb", "Sb", "I", "I", "I", "I", "I", "I", "I", "I", "I"],
  "fractional_positions": [[0.000, 0.000, 0.000], [0.667, 0.333, 0.671], [0.333, 0.667, 0.329], [0.667, 0.333, 0.188], [0.333, 0.667, 0.812], [0.500, 0.500, 0.000], [0.500, 0.000, 0.000], [0.000, 0.500, 0.000], [0.168, 0.832, 0.663], [0.168, 0.336, 0.663], [0.664, 0.832, 0.663], [0.336, 0.168, 0.337], [0.832, 0.664, 0.337], [0.832, 0.168, 0.337]]
}



No. 5
{
  "formula": "UNbO5",
  "functional": "r2SCAN",
  "state": "optimized geometry",
  "energy_ev_per_atom": -22.40,
  "delta_e_f_ev_per_atom": -3.176,
  "vol_a3_per_atom": 14.2,
  "lattice_angstrom": [[4.105, 0.000, 0.000], [0.000, 12.973, 0.000], [0.000, 0.000, 7.492]],
  "species": ["U", "U", "U", "U", "Nb", "Nb", "Nb", "Nb", "O", "O", "O", "O", "O", "O", "O", "O", "O", "O", "O", "O", "O", "O", "O", "O", "O", "O", "O", "O"],
  "fractional_positions": [[0.000, 0.229, 0.750], [0.000, 0.271, 0.250], [0.000, 0.729, 0.750], [0.000, 0.771, 0.250], [0.083, 0.000, 0.500], [0.083, 0.500, 0.000], [0.917, 0.000, 0.000], [0.917, 0.500, 0.500], [0.987, 0.153, 0.045], [0.013, 0.153, 0.455], [0.000, 0.455, 0.250], [0.987, 0.347, 0.545], [0.013, 0.653, 0.045], [0.013, 0.347, 0.955], [0.987, 0.653, 0.455], [0.000, 0.545, 0.750], [0.000, 0.955, 0.250], [0.013, 0.847, 0.545], [0.519, 0.000, 0.500], [0.481, 0.500, 0.500], [0.500, 0.225, 0.750], [0.500, 0.275, 0.250], [0.481, 0.000, 0.000], [0.500, 0.725, 0.750], [0.500, 0.775, 0.250], [0.519, 0.500, 0.000], [0.000, 0.045, 0.750], [0.987, 0.847, 0.955]]
}



No. 6
{
  "formula": "SbO2F",
  "functional": "r2SCAN",
  "state": "optimized geometry",
  "energy_ev_per_atom": -11.91,
  "delta_e_f_ev_per_atom": -1.719,
  "vol_a3_per_atom": 12.5,
  "e_above_lowest_polymorph_mev_per_atom": 13,
  "lattice_angstrom": [[2.448, 4.546, 0.012], [-2.448, 4.546, 0.012], [0.000, 2.693, 4.514]],
  "species": ["Sb", "Sb", "O", "O", "O", "O", "F", "F"],
  "fractional_positions": [[0.500, 0.000, 0.500], [0.000, 0.500, 0.000], [0.258, 0.115, 0.245], [0.885, 0.742, 0.255], [0.115, 0.258, 0.745], [0.742, 0.885, 0.755], [0.384, 0.616, 0.750], [0.616, 0.384, 0.250]]
}



No. 7
{
  "formula": "Sm2Se3O9",
  "functional": "r2SCAN",
  "state": "optimized geometry",
  "energy_ev_per_atom": -13.19,
  "delta_e_f_ev_per_atom": -2.038,
  "vol_a3_per_atom": 15.0,
  "lattice_angstrom": [[6.985, 0.000, 0.008], [3.456, 7.095, -0.020], [2.220, 2.309, 8.495]],
  "species": ["Sm", "Sm", "Sm", "Sm", "Se", "Se", "Se", "Se", "Se", "Se", "O", "O", "O", "O", "O", "O", "O", "O", "O", "O", "O", "O", "O", "O", "O", "O", "O", "O"],
  "fractional_positions": [[0.628, 0.350, 0.322], [0.372, 0.650, 0.678], [0.226, 0.312, 0.129], [0.774, 0.688, 0.871], [0.454, 0.174, 0.743], [0.189, 0.768, 0.039], [0.871, 0.779, 0.488], [0.811, 0.232, 0.961], [0.546, 0.826, 0.257], [0.129, 0.221, 0.512], [0.675, 0.021, 0.836], [0.325, 0.979, 0.164], [0.639, 0.791, 0.616], [0.361, 0.209, 0.384], [0.391, 0.786, 0.894], [0.318, 0.337, 0.856], [0.901, 0.342, 0.053], [0.540, 0.334, 0.592], [0.698, 0.437, 0.820], [0.099, 0.658, 0.947], [0.166, 0.988, 0.588], [0.031, 0.684, 0.639], [0.609, 0.214, 0.106], [0.682, 0.663, 0.144], [0.460, 0.666, 0.408], [0.302, 0.563, 0.180], [0.834, 0.012, 0.412], [0.969, 0.316, 0.361]]
}



No. 8
{
  "formula": "DyLu3",
  "functional": "r2SCAN",
  "state": "optimized geometry",
  "energy_ev_per_atom": -36.55,
  "delta_e_f_ev_per_atom": 0.001,
  "vol_a3_per_atom": 29.9,
  "lattice_angstrom": [[7.099, 0.000, 0.000], [-3.550, 6.148, 0.000], [0.000, 0.000, 5.474]],
  "species": ["Dy", "Dy", "Lu", "Lu", "Lu", "Lu", "Lu", "Lu"],
  "fractional_positions": [[0.333, 0.667, 0.750], [0.667, 0.333, 0.250], [0.166, 0.332, 0.250], [0.668, 0.834, 0.250], [0.166, 0.834, 0.250], [0.834, 0.668, 0.750], [0.332, 0.166, 0.750], [0.834, 0.166, 0.750]]
}